(1)
# NaLaScPS2O12, relaxed, DFT GGA-PBE
data_NaLaScPS2O12
_chemical_formula_sum 'Na6 La6 Sc6 P6 S12 O72'
_symmetry_space_group_name_H-M 'P 1'
_symmetry_Int_Tables_number 1
_symmetry_space_group_name_Hall 'P 1'
_cell_length_a 9.128
_cell_length_b 9.131
_cell_length_c 24.223
_cell_angle_alpha 90.04
_cell_angle_beta 90.01
_cell_angle_gamma 119.93
loop_
_atom_site_label
_atom_site_fract_x
_atom_site_fract_y
_atom_site_fract_z
_atom_site_occupancy
Na1 0.000 0.000 0.000 1
Na2 0.005 0.003 0.507 1
Na3 0.324 0.650 0.170 1
Na4 0.351 0.670 0.669 1
Na5 0.670 0.310 0.833 1
Na6 0.699 0.338 0.334 1
La1 0.012 0.991 0.153 1
La2 0.012 0.991 0.356 1
La3 0.331 0.650 0.320 1
La4 0.347 0.658 0.020 1
La5 0.686 0.315 0.979 1
La6 0.689 0.319 0.495 1
Sc1 0.011 0.988 0.658 1
Sc2 0.013 0.992 0.849 1
Sc3 0.343 0.654 0.526 1
Sc4 0.354 0.674 0.816 1
Sc5 0.664 0.297 0.689 1
Sc6 0.696 0.333 0.187 1
P1 0.056 0.362 0.427 1
P2 0.301 0.991 0.754 1
P3 0.650 0.944 0.913 1
P4 0.679 0.013 0.593 1
P5 0.976 0.330 0.089 1
P6 0.999 0.676 0.252 1
S1 0.011 0.282 0.753 1
S2 0.058 0.672 0.912 1
S3 0.332 0.357 0.912 1
S4 0.334 0.295 0.252 1
S5 0.344 0.948 0.427 1
S6 0.374 0.321 0.593 1
S7 0.394 0.034 0.091 1
S8 0.636 0.658 0.426 1
S9 0.673 0.608 0.089 1
S10 0.705 0.003 0.252 1
S11 0.721 0.697 0.754 1
S12 0.983 0.629 0.593 1
O1 0.007 0.800 0.603 1
O2 0.019 0.786 0.202 1
O3 0.037 0.200 0.704 1
O4 0.040 0.825 0.906 1
O5 0.044 0.186 0.428 1
O6 0.134 0.448 0.372 1
O7 0.144 0.691 0.966 1
O8 0.152 0.493 0.090 1
O9 0.153 0.642 0.586 1
O10 0.154 0.653 0.867 1
O11 0.156 0.653 0.253 1
O12 0.163 0.452 0.760 1
O13 0.166 0.470 0.477 1
O14 0.181 0.185 0.906 1
O15 0.185 0.955 0.427 1
O16 0.188 0.964 0.703 1
O17 0.203 0.173 0.602 1
O18 0.218 0.020 0.805 1
O19 0.222 0.011 0.090 1
O20 0.225 0.213 0.204 1
O21 0.252 0.199 0.303 1
O22 0.311 0.422 0.966 1
O23 0.322 0.832 0.762 1
O24 0.341 0.845 0.475 1
O25 0.347 0.469 0.866 1
O26 0.358 0.875 0.374 1
O27 0.359 0.468 0.254 1
O28 0.361 0.477 0.587 1
O29 0.383 0.865 0.092 1
O30 0.439 0.289 0.540 1
O31 0.473 0.122 0.038 1
O32 0.481 0.151 0.745 1
O33 0.488 0.342 0.914 1
O34 0.491 0.130 0.139 1
O35 0.492 0.121 0.429 1
O36 0.492 0.347 0.639 1
O37 0.499 0.303 0.246 1
O38 0.516 0.838 0.585 1
O39 0.519 0.624 0.091 1
O40 0.528 0.841 0.865 1
O41 0.536 0.852 0.255 1
O42 0.539 0.665 0.475 1
O43 0.550 0.679 0.761 1
O44 0.553 0.651 0.374 1
O45 0.578 0.854 0.969 1
O46 0.649 0.112 0.641 1
O47 0.654 0.505 0.429 1
O48 0.664 0.121 0.913 1
O49 0.670 0.511 0.139 1
O50 0.677 0.524 0.038 1
O51 0.690 0.156 0.247 1
O52 0.704 0.527 0.747 1
O53 0.720 0.118 0.539 1
O54 0.790 0.982 0.204 1
O55 0.801 0.805 0.705 1
O56 0.806 0.024 0.303 1
O57 0.807 0.813 0.427 1
O58 0.826 0.779 0.089 1
O59 0.827 0.779 0.804 1
O60 0.828 0.965 0.905 1
O61 0.834 0.992 0.606 1
O62 0.837 0.500 0.247 1
O63 0.857 0.299 0.746 1
O64 0.874 0.332 0.140 1
O65 0.878 0.344 0.428 1
O66 0.883 0.323 0.035 1
O67 0.886 0.570 0.541 1
O68 0.887 0.519 0.913 1
O69 0.891 0.511 0.639 1
O70 0.983 0.176 0.803 1
O71 0.985 0.761 0.306 1
O72 0.996 0.171 0.089 1
# Total magnetization, Bohr magnetons per cell: 0.000
# Final energy, eV per atom: -7.077
# Formation energy from the elements, eV per atom: -2.777

(2)
# Na2LaScP2SO12, relaxed, DFT GGA-PBE
data_Na2LaScP2SO12
_chemical_formula_sum 'Na12 La6 Sc6 P12 S6 O72'
_symmetry_space_group_name_H-M 'P 1'
_symmetry_Int_Tables_number 1
_symmetry_space_group_name_Hall 'P 1'
_cell_length_a 9.227
_cell_length_b 9.237
_cell_length_c 23.868
_cell_angle_alpha 89.40
_cell_angle_beta 89.43
_cell_angle_gamma 60.14
loop_
_atom_site_label
_atom_site_fract_x
_atom_site_fract_y
_atom_site_fract_z
_atom_site_occupancy
Na1 0.000 0.000 0.000 1
Na2 0.007 0.645 0.747 1
Na3 0.295 0.700 0.588 1
Na4 0.318 0.346 0.164 1
Na5 0.329 0.335 0.669 1
Na6 0.345 0.983 0.415 1
Na7 0.630 0.023 0.245 1
Na8 0.648 0.682 0.834 1
Na9 0.660 0.669 0.335 1
Na10 0.675 0.317 0.079 1
Na11 0.968 0.360 0.918 1
Na12 0.984 0.011 0.503 1
La1 0.002 0.017 0.350 1
La2 0.337 0.350 0.524 1
La3 0.342 0.366 0.314 1
La4 0.346 0.358 0.819 1
La5 0.668 0.685 0.176 1
La6 0.679 0.693 0.491 1
Sc1 0.007 0.018 0.852 1
Sc2 0.008 0.033 0.148 1
Sc3 0.012 0.026 0.654 1
Sc4 0.337 0.354 0.014 1
Sc5 0.667 0.687 0.689 1
Sc6 0.684 0.689 0.987 1
P1 0.038 0.655 0.919 1
P2 0.293 0.743 0.750 1
P3 0.301 0.022 0.248 1
P4 0.340 0.662 0.423 1
P5 0.370 0.978 0.591 1
P6 0.637 0.050 0.417 1
P7 0.645 0.356 0.923 1
P8 0.669 0.996 0.083 1
P9 0.712 0.313 0.245 1
P10 0.968 0.700 0.595 1
P11 0.979 0.383 0.080 1
P12 0.993 0.316 0.752 1
S1 0.002 0.730 0.244 1
S2 0.034 0.354 0.418 1
S3 0.339 0.050 0.921 1
S4 0.365 0.684 0.079 1
S5 0.681 0.385 0.593 1
S6 0.725 0.010 0.750 1
O1 0.009 0.207 0.701 1
O2 0.009 0.830 0.197 1
O3 0.021 0.829 0.911 1
O4 0.029 0.196 0.419 1
O5 0.097 0.550 0.864 1
O6 0.119 0.364 0.367 1
O7 0.128 0.348 0.468 1
O8 0.148 0.544 0.594 1
O9 0.149 0.341 0.753 1
O10 0.151 0.561 0.242 1
O11 0.155 0.357 0.068 1
O12 0.161 0.554 0.967 1
O13 0.179 0.045 0.915 1
O14 0.187 0.842 0.422 1
O15 0.188 0.825 0.697 1
O16 0.189 0.023 0.200 1
O17 0.195 0.994 0.599 1
O18 0.199 0.835 0.086 1
O19 0.200 0.849 0.803 1
O20 0.231 0.010 0.306 1
O21 0.301 0.570 0.754 1
O22 0.310 0.168 0.968 1
O23 0.316 0.183 0.245 1
O24 0.330 0.576 0.478 1
O25 0.342 0.564 0.370 1
O26 0.349 0.533 0.070 1
O27 0.356 0.151 0.592 1
O28 0.372 0.115 0.868 1
O29 0.431 0.891 0.533 1
O30 0.458 0.710 0.033 1
O31 0.463 0.644 0.132 1
O32 0.471 0.719 0.745 1
O33 0.481 0.870 0.245 1
O34 0.481 0.881 0.932 1
O35 0.493 0.865 0.637 1
O36 0.499 0.679 0.420 1
O37 0.517 0.174 0.070 1
O38 0.520 0.382 0.592 1
O39 0.536 0.154 0.468 1
O40 0.540 0.386 0.869 1
O41 0.542 0.314 0.243 1
O42 0.543 0.133 0.362 1
O43 0.554 0.156 0.753 1
O44 0.555 0.330 0.974 1
O45 0.635 0.938 0.140 1
O46 0.644 0.879 0.418 1
O47 0.666 0.499 0.638 1
O48 0.670 0.510 0.931 1
O49 0.685 0.491 0.244 1
O50 0.691 0.869 0.036 1
O51 0.704 0.448 0.538 1
O52 0.714 0.853 0.747 1
O53 0.800 0.230 0.300 1
O54 0.808 0.027 0.700 1
O55 0.813 0.029 0.420 1
O56 0.813 0.207 0.193 1
O57 0.823 0.215 0.600 1
O58 0.823 0.993 0.801 1
O59 0.824 0.198 0.914 1
O60 0.829 0.015 0.087 1
O61 0.836 0.496 0.746 1
O62 0.846 0.720 0.243 1
O63 0.853 0.475 0.031 1
O64 0.863 0.500 0.419 1
O65 0.863 0.671 0.932 1
O66 0.870 0.680 0.645 1
O67 0.880 0.714 0.539 1
O68 0.912 0.484 0.134 1
O69 0.979 0.231 0.807 1
O70 0.985 0.211 0.087 1
O71 0.988 0.857 0.599 1
O72 0.994 0.808 0.299 1
# Total magnetization, Bohr magnetons per cell: 0.000
# Final energy, eV per atom: -7.129
# Formation energy from the elements, eV per atom: -2.918

(3)
# Na3La2Sc2P3S3O24, relaxed, DFT GGA-PBE
data_Na3La2Sc2P3S3O24
_chemical_formula_sum 'Na9 La6 Sc6 P9 S9 O72'
_symmetry_space_group_name_H-M 'P 1'
_symmetry_Int_Tables_number 1
_symmetry_space_group_name_Hall 'P 1'
_cell_length_a 9.121
_cell_length_b 9.130
_cell_length_c 23.912
_cell_angle_alpha 89.54
_cell_angle_beta 89.39
_cell_angle_gamma 60.11
loop_
_atom_site_label
_atom_site_fract_x
_atom_site_fract_y
_atom_site_fract_z
_atom_site_occupancy
Na1 0.000 0.000 0.000 1
Na2 0.004 0.013 0.504 1
Na3 0.024 0.304 0.918 1
Na4 0.333 0.332 0.334 1
Na5 0.378 0.327 0.841 1
Na6 0.647 0.657 0.673 1
Na7 0.656 0.651 0.158 1
Na8 0.676 0.986 0.589 1
Na9 0.977 0.678 0.077 1
La1 0.327 0.342 0.172 1
La2 0.338 0.327 0.694 1
La3 0.343 0.314 0.488 1
La4 0.658 0.661 0.518 1
La5 0.678 0.677 0.308 1
La6 0.984 0.990 0.348 1
Sc1 0.006 0.998 0.140 1
Sc2 0.328 0.346 0.980 1
Sc3 0.665 0.656 0.009 1
Sc4 0.670 0.663 0.818 1
Sc5 0.981 0.992 0.855 1
Sc6 0.996 0.999 0.657 1
P1 0.025 0.334 0.072 1
P2 0.320 0.026 0.589 1
P3 0.330 0.642 0.075 1
P4 0.655 0.315 0.590 1
P5 0.658 0.979 0.421 1
P6 0.662 0.374 0.913 1
P7 0.718 0.975 0.754 1
P8 0.959 0.660 0.917 1
P9 0.993 0.706 0.235 1
S1 0.027 0.652 0.588 1
S2 0.292 0.724 0.758 1
S3 0.293 0.993 0.240 1
S4 0.358 0.657 0.413 1
S5 0.371 0.963 0.914 1
S6 0.640 0.022 0.075 1
S7 0.706 0.297 0.239 1
S8 0.977 0.292 0.758 1
S9 0.982 0.354 0.414 1
O1 0.007 0.804 0.184 1
O2 0.008 0.181 0.419 1
O3 0.012 0.174 0.083 1
O4 0.016 0.819 0.593 1
O5 0.097 0.383 0.122 1
O6 0.112 0.575 0.534 1
O7 0.117 0.543 0.636 1
O8 0.126 0.316 0.756 1
O9 0.137 0.495 0.922 1
O10 0.142 0.306 0.020 1
O11 0.147 0.348 0.409 1
O12 0.150 0.528 0.240 1
O13 0.159 0.813 0.080 1
O14 0.169 0.002 0.602 1
O15 0.184 0.009 0.192 1
O16 0.192 0.815 0.419 1
O17 0.195 0.819 0.807 1
O18 0.195 0.989 0.911 1
O19 0.206 0.814 0.705 1
O20 0.214 0.990 0.294 1
O21 0.294 0.115 0.532 1
O22 0.297 0.536 0.030 1
O23 0.307 0.553 0.759 1
O24 0.323 0.139 0.241 1
O25 0.331 0.510 0.408 1
O26 0.345 0.133 0.634 1
O27 0.352 0.136 0.919 1
O28 0.373 0.545 0.131 1
O29 0.451 0.665 0.363 1
O30 0.455 0.636 0.465 1
O31 0.455 0.860 0.963 1
O32 0.458 0.833 0.234 1
O33 0.464 0.705 0.758 1
O34 0.471 0.881 0.863 1
O35 0.474 0.675 0.059 1
O36 0.488 0.852 0.589 1
O37 0.500 0.154 0.411 1
O38 0.506 0.352 0.924 1
O39 0.534 0.340 0.639 1
O40 0.538 0.309 0.241 1
O41 0.540 0.136 0.757 1
O42 0.543 0.140 0.029 1
O43 0.551 0.083 0.130 1
O44 0.578 0.293 0.535 1
O45 0.632 0.485 0.861 1
O46 0.638 0.908 0.479 1
O47 0.667 0.849 0.066 1
O48 0.677 0.861 0.372 1
O49 0.687 0.468 0.233 1
O50 0.689 0.465 0.587 1
O51 0.699 0.457 0.963 1
O52 0.701 0.815 0.760 1
O53 0.789 0.227 0.294 1
O54 0.808 0.187 0.192 1
O55 0.810 0.967 0.698 1
O56 0.813 0.006 0.078 1
O57 0.818 0.998 0.425 1
O58 0.820 0.461 0.759 1
O59 0.820 0.987 0.804 1
O60 0.823 0.146 0.597 1
O61 0.825 0.196 0.907 1
O62 0.830 0.692 0.230 1
O63 0.847 0.492 0.064 1
O64 0.849 0.684 0.588 1
O65 0.855 0.688 0.971 1
O66 0.868 0.628 0.868 1
O67 0.880 0.439 0.363 1
O68 0.894 0.449 0.466 1
O69 0.970 0.203 0.707 1
O70 0.979 0.798 0.291 1
O71 0.985 0.814 0.908 1
O72 0.989 0.196 0.809 1
# Total magnetization, Bohr magnetons per cell: 0.000
# Final energy, eV per atom: -7.113
# Formation energy from the elements, eV per atom: -2.859